Record 1
{
  "formula": "KAu5",
  "functional": "PBE-GGA",
  "state": "optimized geometry",
  "cell": [[2.8979, -5.0194, 0.0000], [2.8979, 5.0194, 0.0000], [0.0000, 0.0000, 4.5925]],
  "species": ["Au", "K", "Au", "Au", "Au", "Au"],
  "fractional_positions": [[0.5000, 0.5000, 0.5000], [0.0000, 0.0000, 0.0000], [0.0000, 0.5000, 0.5000], [0.5000, 0.0000, 0.5000], [0.3333, 0.6667, 0.0000], [0.6667, 0.3333, 0.0000]],
  "e_form_mev_per_atom": -227,
  "energy_ev_per_atom": -3.140
}

***

Record 2
{
  "formula": "K19Na6Tl24Au",
  "functional": "PBE-GGA",
  "state": "optimized geometry",
  "cell": [[0.0000, 0.0000, -11.7053], [-9.8142, -16.9988, 0.0000], [-9.8132, 16.9982, 0.0000]],
  "species": ["Tl", "K", "Tl", "Na", "Tl", "Tl", "Tl", "K", "Na", "K", "Tl", "K", "K", "K", "Tl", "K", "K", "K", "K", "K", "K", "Tl", "Tl", "Tl", "Tl", "K", "Tl", "K", "Tl", "K", "K", "K", "Tl", "Tl", "Tl", "Tl", "Na", "Na", "Na", "Tl", "Tl", "Tl", "Tl", "Tl", "K", "Na", "Tl", "Tl", "K", "Tl", "Tl", "Tl", "Tl", "K", "Tl", "Na", "Tl", "K", "K", "Tl", "Tl", "K", "Tl", "Na", "K", "Tl", "Na", "Tl", "Au", "Tl", "K", "K", "K", "K", "K", "Tl", "Tl", "Na", "K", "Tl", "K", "Tl", "Na", "Tl", "Tl", "Tl", "K", "Na", "K", "K", "Tl", "Tl", "Tl", "Tl", "K", "Au", "Tl", "K", "K", "K"],
  "fractional_positions": [[0.0000, 0.3437, 0.0976], [0.0000, 0.8815, 0.5528], [0.8637, 0.8289, 0.8289], [0.7487, 0.1594, 0.3287], [0.5000, 0.2190, 0.3160], [0.3583, 0.5143, 0.8375], [0.2652, 0.9999, 0.6747], [0.5000, 0.1215, 0.4635], [0.2513, 0.8407, 0.1694], [0.0000, 0.5528, 0.8815], [0.1363, 0.0001, 0.1711], [0.0000, 0.3287, 0.4472], [0.5000, 0.0000, 0.2239], [0.1784, 0.6532, 0.4647], [0.3584, 0.8375, 0.5143], [0.5000, 0.6579, 0.5365], [0.5000, 0.2238, 0.0000], [0.6789, 0.1279, 0.1279], [0.8216, 0.5353, 0.1886], [0.1784, 0.1885, 0.5353], [0.0000, 0.6713, 0.1185], [0.2303, 0.0001, 0.3445], [0.0000, 0.6562, 0.7537], [0.0000, 0.2462, 0.9024], [0.3584, 0.4857, 0.3234], [0.0000, 0.1958, 0.1958], [0.6417, 0.5143, 0.8375], [0.1784, 0.8116, 0.3469], [0.1362, 0.1709, 0.0000], [0.5000, 0.3420, 0.8785], [0.0000, 0.0000, 0.8042], [0.5000, 0.5364, 0.6578], [0.7348, 0.6749, 0.0000], [0.6416, 0.1624, 0.6766], [0.5000, 0.4285, 0.4286], [0.0000, 0.9025, 0.2463], [0.7487, 0.6713, 0.8306], [0.2512, 0.1693, 0.8406], [0.2513, 0.1594, 0.3287], [0.7697, 0.3443, 0.0000], [0.6417, 0.6768, 0.1625], [0.5000, 0.5715, 0.0000], [0.1363, 0.8289, 0.8289], [0.0000, 0.7538, 0.6561], [0.1784, 0.4647, 0.6531], [0.7487, 0.8407, 0.1694], [0.8637, 0.0001, 0.1711], [0.7697, 0.0001, 0.3445], [0.8216, 0.8116, 0.3469], [0.2303, 0.6556, 0.6555], [0.5000, 0.9999, 0.5714], [0.6416, 0.8375, 0.5143], [0.3583, 0.6768, 0.1625], [0.1784, 0.5353, 0.1886], [0.0000, 0.0001, 0.4424], [0.2513, 0.6713, 0.8306], [0.3584, 0.3232, 0.4857], [0.0000, 0.1184, 0.6712], [0.5000, 0.4635, 0.1215], [0.7348, 0.3252, 0.3253], [0.6416, 0.4857, 0.3234], [0.5000, 0.7762, 0.7761], [0.6416, 0.3232, 0.4857], [0.2512, 0.3287, 0.1594], [0.6789, 0.0000, 0.8721], [0.5000, 0.7810, 0.0969], [0.7488, 0.1693, 0.8406], [0.0000, 0.4423, 0.0000], [0.0000, 0.3334, 0.6666], [0.7348, 0.9999, 0.6747], [0.8216, 0.4647, 0.6531], [0.8216, 0.1885, 0.5353], [0.0000, 0.4472, 0.3288], [0.3211, 0.0000, 0.8721], [0.5000, 0.8786, 0.3422], [0.0000, 0.5576, 0.5576], [0.2652, 0.3252, 0.3253], [0.2513, 0.8307, 0.6713], [0.3211, 0.1279, 0.1279], [0.2303, 0.3443, 0.0000], [0.0000, 0.8043, 0.0000], [0.5000, 0.3160, 0.2191], [0.7487, 0.8307, 0.6713], [0.3584, 0.1624, 0.6766], [0.2652, 0.6749, 0.0000], [0.0000, 0.0977, 0.3439], [0.5000, 0.3333, 0.6666], [0.7488, 0.3287, 0.1594], [0.5000, 0.6667, 0.3334], [0.8216, 0.3467, 0.8114], [0.5000, 0.6841, 0.9031], [0.7697, 0.6556, 0.6555], [0.5000, 0.0969, 0.7809], [0.8638, 0.1709, 0.0000], [0.3210, 0.8722, 0.0000], [0.0000, 0.6667, 0.3334], [0.5000, 0.9031, 0.6840], [0.6790, 0.8722, 0.0000], [0.1784, 0.3467, 0.8114], [0.8216, 0.6532, 0.4647]],
  "e_form_mev_per_atom": -113,
  "energy_ev_per_atom": -1.893
}

***

Record 3
{
  "formula": "KAuO2",
  "functional": "PBE-GGA",
  "state": "optimized geometry",
  "cell": [[3.0816, 0.0000, 0.0000], [0.0000, 3.7740, 0.0000], [0.0000, 0.0000, 5.8812]],
  "species": ["O", "K", "Au", "O"],
  "fractional_positions": [[0.5000, 0.0000, 0.2295], [0.0000, 0.5000, 0.5000], [0.0000, 0.0000, 0.0000], [0.5000, 0.0000, 0.7705]],
  "e_form_mev_per_atom": -1121,
  "energy_ev_per_atom": -4.348,
  "energy_corrected_mp2020_ev_per_cell": -18.77
}

***

Record 4
{
  "formula": "KAuS2O8",
  "functional": "PBE-GGA",
  "state": "optimized geometry",
  "cell": [[-2.8206, -4.4658, 4.3436], [0.8358, 1.7797, 6.5498], [-8.0898, 3.2804, 4.1212]],
  "species": ["O", "O", "Au", "O", "O", "O", "O", "O", "O", "O", "O", "S", "O", "O", "S", "O", "O", "K", "S", "S", "O", "K", "O", "Au"],
  "fractional_positions": [[0.2774, 0.4931, 0.7170], [0.7226, 0.5069, 0.2830], [0.5000, 0.5000, 0.0000], [0.2673, 0.3897, 0.9914], [0.1505, 0.1731, 0.9147], [0.1559, 0.5489, 0.3193], [0.8269, 0.8495, 0.5853], [0.1731, 0.1505, 0.4147], [0.6103, 0.7327, 0.5086], [0.5069, 0.7226, 0.7830], [0.3897, 0.2673, 0.4914], [0.6789, 0.7152, 0.1409], [0.4511, 0.8441, 0.1807], [0.7327, 0.6103, 0.0086], [0.7152, 0.6789, 0.6409], [0.4931, 0.2774, 0.2170], [0.8495, 0.8269, 0.0853], [0.0189, 0.9811, 0.7500], [0.3211, 0.2848, 0.8591], [0.2848, 0.3211, 0.3591], [0.8441, 0.4511, 0.6807], [0.9811, 0.0189, 0.2500], [0.5489, 0.1559, 0.8193], [0.5000, 0.5000, 0.5000]],
  "e_form_mev_per_atom": -1679,
  "energy_ev_per_atom": -5.574,
  "energy_corrected_mp2020_ev_per_cell": -144.78
}

***

Record 5
{
  "formula": "KP2AuS7",
  "functional": "PBE-GGA",
  "state": "optimized geometry",
  "cell": [[-4.0457, 4.7766, 0.8784], [-2.5746, -4.4065, 3.7296], [8.4021, 4.9867, 11.7261]],
  "species": ["P", "S", "K", "S", "S", "Au", "P", "Au", "S", "P", "S", "S", "S", "K", "P", "S", "S", "S", "S", "S", "S", "S"],
  "fractional_positions": [[0.6488, 0.3209, 0.8602], [0.2747, 0.3360, 0.3435], [0.2426, 0.7574, 0.7500], [0.8314, 0.2300, 0.5357], [0.1972, 0.8028, 0.2500], [0.5000, 0.0000, 0.5000], [0.6791, 0.3512, 0.6398], [0.0000, 0.5000, 0.0000], [0.2005, 0.3642, 0.1126], [0.3512, 0.6791, 0.1398], [0.7253, 0.6640, 0.6565], [0.6358, 0.7995, 0.3874], [0.7700, 0.1686, 0.9643], [0.7574, 0.2426, 0.2500], [0.3209, 0.6488, 0.3602], [0.3360, 0.2747, 0.8435], [0.2300, 0.8314, 0.0357], [0.8028, 0.1972, 0.7500], [0.1686, 0.7700, 0.4643], [0.7995, 0.6358, 0.8874], [0.6640, 0.7253, 0.1565], [0.3642, 0.2005, 0.6126]],
  "e_form_mev_per_atom": -706,
  "energy_ev_per_atom": -4.401,
  "energy_corrected_mp2020_ev_per_cell": -103.87
}

***

Record 6
{
  "formula": "KP2Au5S8",
  "functional": "PBE-GGA",
  "state": "optimized geometry",
  "cell": [[-7.3054, 7.0989, 9.6065], [-7.4800, 1.6985, -6.9434], [-7.9035, -9.6589, 1.1272]],
  "species": ["Au", "S", "S", "S", "K", "Au", "Au", "Au", "Au", "S", "P", "Au", "P", "S", "S", "Au", "S", "Au", "Au", "Au", "S", "Au", "Au", "S", "S", "S", "S", "S", "S", "Au", "Au", "S", "S", "S", "P", "Au", "S", "S", "S", "P", "S", "Au", "S", "S", "K", "S", "P", "K", "S", "Au", "S", "S", "Au", "P", "P", "S", "S", "K", "S", "Au", "S", "P", "S", "Au"],
  "fractional_positions": [[0.2447, 0.7570, 0.7977], [0.4667, 0.5664, 0.7566], [0.1266, 0.5889, 0.8514], [0.3317, 0.5534, 0.0989], [0.2475, 0.3056, 0.3314], [0.4558, 0.8863, 0.4517], [0.0892, 0.9395, 0.6399], [0.4108, 0.9395, 0.1399], [0.7447, 0.2430, 0.7023], [0.0333, 0.5664, 0.2566], [0.8158, 0.9446, 0.8830], [0.0442, 0.8863, 0.9517], [0.3158, 0.0554, 0.6170], [0.9854, 0.7672, 0.6284], [0.5980, 0.7791, 0.4290], [0.4050, 0.5588, 0.9307], [0.1924, 0.9778, 0.9729], [0.7553, 0.2430, 0.2023], [0.2373, 0.7668, 0.5406], [0.9050, 0.4412, 0.5693], [0.0146, 0.2328, 0.3716], [0.2627, 0.7668, 0.0406], [0.0950, 0.5588, 0.4307], [0.4020, 0.2209, 0.5710], [0.6326, 0.0815, 0.2463], [0.3674, 0.9185, 0.7537], [0.6683, 0.4466, 0.9011], [0.0980, 0.2209, 0.0710], [0.1683, 0.5534, 0.5989], [0.9558, 0.1137, 0.0483], [0.2553, 0.7570, 0.2977], [0.8734, 0.4111, 0.1486], [0.9667, 0.4336, 0.7434], [0.3076, 0.9778, 0.4729], [0.5572, 0.4047, 0.7942], [0.7373, 0.2332, 0.9594], [0.5146, 0.7672, 0.1284], [0.6815, 0.8689, 0.8698], [0.3734, 0.5889, 0.3514], [0.1842, 0.0554, 0.1170], [0.8185, 0.8689, 0.3698], [0.5950, 0.4412, 0.0693], [0.8674, 0.0815, 0.7463], [0.6266, 0.4111, 0.6486], [0.7475, 0.6944, 0.1686], [0.6924, 0.0222, 0.5271], [0.6842, 0.9446, 0.3830], [0.7525, 0.6944, 0.6686], [0.1815, 0.1311, 0.6302], [0.5442, 0.1137, 0.5483], [0.3185, 0.1311, 0.1302], [0.5333, 0.4336, 0.2434], [0.7627, 0.2332, 0.4594], [0.4428, 0.5953, 0.2058], [0.0572, 0.5953, 0.7058], [0.4854, 0.2328, 0.8716], [0.1326, 0.9185, 0.2537], [0.2525, 0.3056, 0.8314], [0.8317, 0.4466, 0.4011], [0.5892, 0.0605, 0.8601], [0.8076, 0.0222, 0.0271], [0.9428, 0.4047, 0.2942], [0.9020, 0.7791, 0.9290], [0.9108, 0.0605, 0.3601]],
  "e_form_mev_per_atom": -564,
  "energy_ev_per_atom": -4.149,
  "energy_corrected_mp2020_ev_per_cell": -281.66
}

***

Record 7
{
  "formula": "K3PbAu5",
  "functional": "PBE-GGA",
  "state": "optimized geometry",
  "cell": [[-2.8857, 4.3149, 10.0186], [2.8857, -4.3149, 10.0186], [2.8857, 4.3149, -10.0186]],
  "species": ["K", "Pb", "Au", "Au", "Au", "Pb", "K", "Au", "Au", "K", "K", "K", "Au", "Au", "Au", "Au", "Au", "K"],
  "fractional_positions": [[0.2092, 0.0857, 0.1235], [0.4176, 0.7500, 0.6676], [0.1848, 0.6848, 0.0000], [0.1064, 0.6439, 0.4625], [0.3185, 0.8561, 0.4625], [0.5824, 0.2500, 0.3324], [0.5378, 0.4143, 0.1235], [0.5000, 0.0000, 0.5000], [0.8152, 0.3152, 0.0000], [0.8755, 0.7500, 0.1255], [0.1245, 0.2500, 0.8745], [0.4622, 0.5857, 0.8765], [0.0000, 0.5000, 0.5000], [0.8936, 0.3561, 0.5375], [0.8152, 0.8152, 0.5000], [0.1848, 0.1848, 0.5000], [0.6815, 0.1439, 0.5375], [0.7908, 0.9143, 0.8765]],
  "e_form_mev_per_atom": -322,
  "energy_ev_per_atom": -2.924
}

***

Record 8
{
  "formula": "KRbAu2",
  "functional": "PBE-GGA",
  "state": "optimized geometry",
  "cell": [[0.0000, 4.1139, 4.1139], [4.1139, 0.0000, 4.1139], [4.1139, 4.1139, 0.0000]],
  "species": ["Au", "K", "Au", "Rb"],
  "fractional_positions": [[0.2500, 0.2500, 0.2500], [0.5000, 0.5000, 0.5000], [0.7500, 0.7500, 0.7500], [0.0000, 0.0000, 0.0000]],
  "e_form_mev_per_atom": -271,
  "energy_ev_per_atom": -2.431
}

***

Record 9
{
  "formula": "K2SnAu2S4",
  "functional": "PBE-GGA",
  "state": "optimized geometry",
  "cell": [[7.5074, 0.0000, 0.0000], [3.2060, 7.8371, 0.0000], [1.2871, 2.6599, 8.8762]],
  "species": ["Sn", "Sn", "S", "K", "S", "Au", "K", "Au", "S", "S", "S", "Au", "S", "Au", "S", "K", "K", "S"],
  "fractional_positions": [[0.6230, 0.2810, 0.8045], [0.3770, 0.7190, 0.1955], [0.7839, 0.4983, 0.7458], [0.7824, 0.8117, 0.4210], [0.2161, 0.5017, 0.2542], [0.5328, 0.7124, 0.8320], [0.2176, 0.1883, 0.5790], [0.2627, 0.6682, 0.5768], [0.7070, 0.0858, 0.0610], [0.7608, 0.0910, 0.6353], [0.2930, 0.9142, 0.9390], [0.4672, 0.2876, 0.1680], [0.2755, 0.4186, 0.7773], [0.7373, 0.3318, 0.4232], [0.7245, 0.5814, 0.2227], [0.0270, 0.2528, 0.0768], [0.9730, 0.7472, 0.9232], [0.2392, 0.9090, 0.3647]],
  "e_form_mev_per_atom": -905,
  "energy_ev_per_atom": -3.940,
  "energy_corrected_mp2020_ev_per_cell": -74.94
}

***

Record 10
{
  "formula": "KAuSe5",
  "functional": "PBE-GGA",
  "state": "optimized geometry",
  "cell": [[-4.6697, 5.7096, 8.3635], [4.6697, -5.7096, 8.3635], [4.6697, 5.7096, -8.3635]],
  "species": ["Au", "Se", "Se", "Se", "K", "Se", "Au", "Se", "Se", "Se", "Se", "Au", "Se", "K", "Se", "Au", "K", "Se", "K", "Se", "Se", "Se", "Se", "Se", "Se", "Se", "Se", "Se"],
  "fractional_positions": [[0.8811, 0.7500, 0.1311], [0.5292, 0.4545, 0.6738], [0.9413, 0.8430, 0.5539], [0.4413, 0.8874, 0.0982], [0.0000, 0.0000, 0.0000], [0.0292, 0.3554, 0.0747], [0.3811, 0.2500, 0.1311], [0.0587, 0.1570, 0.4461], [0.2891, 0.3874, 0.4461], [0.7807, 0.8554, 0.3262], [0.6450, 0.0819, 0.7269], [0.1189, 0.2500, 0.8689], [0.2193, 0.1446, 0.6738], [0.2500, 0.7500, 0.5000], [0.4708, 0.5455, 0.3262], [0.6189, 0.7500, 0.8689], [0.5000, 0.5000, 0.0000], [0.7193, 0.0455, 0.0747], [0.7500, 0.2500, 0.5000], [0.5587, 0.1126, 0.9018], [0.9708, 0.6446, 0.9253], [0.7109, 0.6126, 0.5539], [0.2109, 0.6570, 0.0982], [0.7891, 0.3430, 0.9018], [0.8550, 0.5819, 0.4369], [0.3550, 0.9181, 0.2731], [0.2807, 0.9545, 0.9253], [0.1450, 0.4181, 0.5631]],
  "e_form_mev_per_atom": -673,
  "energy_ev_per_atom": -3.459,
  "energy_corrected_mp2020_ev_per_cell": -106.30
}

***

Record 11
{
  "formula": "K3AuSe13",
  "functional": "PBE-GGA",
  "state": "optimized geometry",
  "cell": [[5.1022, 0.0000, 0.0000], [0.0000, 13.8996, 0.0000], [0.0000, 1.1848, 15.3002]],
  "species": ["Se", "Se", "Se", "Se", "Se", "Au", "Se", "Se", "K", "Au", "Se", "Se", "Se", "Se", "Se", "Se", "Se", "Se", "K", "Se", "Se", "Se", "Se", "Se", "Se", "K", "K", "Se", "K", "Se", "Se", "Se", "Se", "K"],
  "fractional_positions": [[0.3188, 0.5792, 0.9266], [0.0765, 0.4651, 0.8496], [0.9235, 0.5349, 0.1504], [0.3550, 0.0769, 0.2687], [0.6450, 0.5769, 0.2687], [0.0000, 0.5000, 0.5000], [0.3550, 0.4231, 0.7313], [0.0765, 0.0349, 0.1504], [0.7986, 0.8361, 0.2782], [0.0000, 0.0000, 0.5000], [0.9027, 0.3422, 0.5870], [0.9027, 0.1578, 0.4130], [0.2979, 0.9494, 0.3803], [0.6450, 0.9231, 0.7313], [0.3714, 0.7500, 0.5000], [0.6286, 0.2500, 0.5000], [0.6926, 0.2667, 0.1512], [0.3074, 0.7667, 0.1512], [0.8372, 0.7500, 0.0000], [0.6812, 0.0792, 0.9266], [0.6812, 0.4208, 0.0734], [0.3074, 0.7333, 0.8488], [0.7021, 0.0506, 0.6197], [0.0973, 0.6578, 0.4130], [0.2979, 0.5506, 0.6197], [0.2014, 0.1639, 0.7218], [0.1628, 0.2500, 0.0000], [0.3188, 0.9208, 0.0734], [0.2014, 0.3361, 0.2782], [0.9235, 0.9651, 0.8496], [0.6926, 0.2333, 0.8488], [0.7021, 0.4494, 0.3803], [0.0973, 0.8422, 0.5870], [0.7986, 0.6639, 0.7218]],
  "e_form_mev_per_atom": -754,
  "energy_ev_per_atom": -3.455,
  "energy_corrected_mp2020_ev_per_cell": -129.73
}

***

Record 12
{
  "formula": "KSn3Au3",
  "functional": "PBE-GGA",
  "state": "optimized geometry",
  "cell": [[-1.2488, 1.1496, -4.4773], [-7.5033, -1.3256, 1.7525], [-0.9941, 9.0730, 2.6069]],
  "species": ["Au", "Sn", "Sn", "Au", "K", "Au", "Sn", "Sn", "Sn", "Au", "Au", "K", "Au", "Sn"],
  "fractional_positions": [[0.0000, 0.2889, 0.5816], [0.0000, 0.2973, 0.8781], [0.5000, 0.2027, 0.1219], [0.0000, 0.0000, 0.0708], [0.5000, 0.0000, 0.7394], [0.5000, 0.5000, 0.9292], [0.0000, 0.7027, 0.8781], [0.5000, 0.7973, 0.1219], [0.0000, 0.0000, 0.3852], [0.5000, 0.7889, 0.4184], [0.5000, 0.2111, 0.4184], [0.0000, 0.5000, 0.2606], [0.0000, 0.7111, 0.5816], [0.5000, 0.5000, 0.6148]],
  "e_form_mev_per_atom": -284,
  "energy_ev_per_atom": -3.564
}